Record 1
A relaxed structure of MgTi8Ni8O24, computed with GGA+U.

* MP2020-corrected energy: -330.2 eV for the cell shown
* ρ: 4.883 g cm⁻³
* energy relative to the elements: -2.449 eV per atom
* symmetry: P1 (1)

Lattice parameters (Å, degrees): 5.626 9.092 9.103 68.20 83.81 83.90
Atoms (fractional coordinates):
Mg 0.000 0.000 0.000
Ti 0.333 0.593 0.586
Ti 0.335 0.350 0.339
Ti 0.402 0.753 0.232
Ti 0.410 0.239 0.743
Ti 0.579 0.157 0.136
Ti 0.832 0.591 0.093
Ti 0.834 0.101 0.569
Ti 0.899 0.736 0.729
Ni 0.295 0.837 0.820
Ni 0.418 0.505 0.978
Ni 0.419 0.991 0.487
Ni 0.630 0.928 0.914
Ni 0.816 0.834 0.344
Ni 0.818 0.349 0.827
Ni 0.921 0.492 0.488
Ni 0.962 0.245 0.233
O 0.094 0.949 0.624
O 0.119 0.460 0.135
O 0.122 0.863 0.205
O 0.142 0.384 0.691
O 0.259 0.641 0.773
O 0.282 0.545 0.383
O 0.294 0.045 0.857
O 0.303 0.156 0.282
O 0.460 0.783 0.442
O 0.461 0.289 0.940
O 0.471 0.701 0.043
O 0.472 0.211 0.534
O 0.606 0.454 0.632
O 0.613 0.949 0.142
O 0.615 0.382 0.186
O 0.628 0.883 0.679
O 0.763 0.054 0.371
O 0.768 0.632 0.278
O 0.773 0.553 0.880
O 0.774 0.145 0.761
O 0.904 0.197 0.045
O 0.954 0.787 0.941
O 0.966 0.687 0.547
O 0.985 0.286 0.443

Record 2
A relaxed structure of MgTi8Ni8O24, computed with GGA+U.

* MP2020-corrected energy: -328.2 eV for the cell shown
* ρ: 4.819 g cm⁻³
* energy relative to the elements: -2.402 eV per atom
* symmetry: P1 (1)

Lattice parameters (Å, degrees): 5.544 9.212 9.279 67.66 84.26 83.13
Atoms (fractional coordinates):
Mg 0.000 0.000 0.000
Ti 0.016 0.594 0.916
Ti 0.425 0.950 0.274
Ti 0.475 0.588 0.417
Ti 0.505 0.132 0.917
Ti 0.863 0.934 0.761
Ti 0.893 0.452 0.260
Ti 0.990 0.349 0.666
Ti 0.997 0.087 0.428
Ni 0.390 0.194 0.524
Ni 0.402 0.708 0.018
Ni 0.405 0.457 0.769
Ni 0.468 0.845 0.670
Ni 0.490 0.344 0.175
Ni 0.885 0.694 0.536
Ni 0.927 0.270 0.038
Ni 0.989 0.798 0.253
O 0.034 0.308 0.478
O 0.040 0.814 0.945
O 0.041 0.427 0.845
O 0.057 0.909 0.387
O 0.167 0.998 0.628
O 0.180 0.496 0.126
O 0.200 0.545 0.561
O 0.248 0.076 0.070
O 0.338 0.649 0.826
O 0.343 0.240 0.733
O 0.347 0.135 0.326
O 0.356 0.744 0.233
O 0.521 0.405 0.374
O 0.539 0.797 0.467
O 0.550 0.922 0.878
O 0.560 0.302 0.971
O 0.699 0.981 0.141
O 0.701 0.045 0.564
O 0.708 0.483 0.626
O 0.717 0.553 0.069
O 0.819 0.613 0.330
O 0.837 0.739 0.735
O 0.842 0.241 0.257
O 0.856 0.145 0.804

Record 3
A relaxed structure of Mg14TiNiO16, computed with GGA+U.

* MP2020-corrected energy: -207.4 eV for the cell shown
* ρ: 3.750 g cm⁻³
* energy relative to the elements: -2.879 eV per atom
* symmetry: P4/mmm (123)

Lattice parameters (Å, degrees): 8.583 8.583 4.225 90.00 90.00 90.00
Atoms (fractional coordinates):
Mg 0.000 0.245 0.000
Mg 0.000 0.500 0.500
Mg 0.000 0.755 0.000
Mg 0.242 0.242 0.500
Mg 0.242 0.758 0.500
Mg 0.244 0.500 0.000
Mg 0.245 0.000 0.000
Mg 0.500 0.000 0.500
Mg 0.500 0.244 0.000
Mg 0.500 0.756 0.000
Mg 0.755 0.000 0.000
Mg 0.756 0.500 0.000
Mg 0.758 0.242 0.500
Mg 0.758 0.758 0.500
Ti 0.500 0.500 0.500
Ni 0.000 0.000 0.500
O 0.000 0.000 0.000
O 0.000 0.267 0.500
O 0.000 0.500 0.000
O 0.000 0.733 0.500
O 0.251 0.251 0.000
O 0.251 0.749 0.000
O 0.259 0.500 0.500
O 0.267 0.000 0.500
O 0.500 0.000 0.000
O 0.500 0.259 0.500
O 0.500 0.500 0.000
O 0.500 0.741 0.500
O 0.733 0.000 0.500
O 0.741 0.500 0.500
O 0.749 0.251 0.000
O 0.749 0.749 0.000

| no. | E_tot (eV/atom) |
| --- | --- |
| 1 | -7.1546 |
| 2 | -7.1081 |
| 3 | -6.0571 |